# 1
First-principles (GGA-PBE) data for a relaxed structure of Cu3Si, as listed in Materials Project.

```
data_Cu3Si
_chemical_formula_sum 'Cu6 Si2'
_cell_length_a 3.606
_cell_length_b 3.606
_cell_length_c 7.364
_cell_angle_alpha 90.00
_cell_angle_beta 90.00
_cell_angle_gamma 90.00
_space_group_name_H-M_alt 'I 4/m m m'
_space_group_IT_number 139
_space_group_name_Hall '-I 4 2'
loop_
_atom_site_label
_atom_site_fract_x
_atom_site_fract_y
_atom_site_fract_z
Cu1 0.000 0.000 0.000
Cu2 0.000 0.500 0.250
Si1 0.000 0.000 0.500
```

The value obtained for the energy of formation is -0.02 eV/atom.

***

# 2
First-principles (GGA-PBE) data for a relaxed structure of Ti2N2O, as listed in Materials Project.

```
data_Ti2N2O
_chemical_formula_sum 'Ti16 N16 O8'
_cell_length_a 8.203
_cell_length_b 8.222
_cell_length_c 8.226
_cell_angle_alpha 109.44
_cell_angle_beta 109.42
_cell_angle_gamma 109.41
_space_group_name_H-M_alt 'P 1'
_space_group_IT_number 1
loop_
_space_group_symop_operation_xyz
'x,y,z'
loop_
_atom_site_label
_atom_site_fract_x
_atom_site_fract_y
_atom_site_fract_z
Ti1 0.000 0.000 0.000
Ti2 0.001 0.499 0.495
Ti3 0.048 0.710 0.237
Ti4 0.214 0.168 0.439
Ti5 0.246 0.466 0.204
Ti6 0.263 0.960 0.694
Ti7 0.293 0.754 0.946
Ti8 0.466 0.212 0.161
Ti9 0.495 0.913 0.395
Ti10 0.517 0.422 0.904
Ti11 0.539 0.711 0.737
Ti12 0.701 0.671 0.443
Ti13 0.750 0.458 0.691
Ti14 0.762 0.972 0.207
Ti15 0.794 0.256 0.957
Ti16 0.964 0.212 0.651
N1 0.017 0.448 0.236
N2 0.027 0.500 0.748
N3 0.241 0.685 0.147
N4 0.261 0.233 0.241
N5 0.295 0.732 0.692
N6 0.305 0.972 0.476
N7 0.476 0.688 0.469
N8 0.479 0.422 0.650
N9 0.523 0.185 0.929
N10 0.524 0.008 0.202
N11 0.711 0.414 0.423
N12 0.744 0.998 0.960
N13 0.764 0.921 0.434
N14 0.791 0.510 0.972
N15 0.977 0.908 0.184
N16 0.987 0.235 0.421
O1 0.026 0.230 0.920
O2 0.196 0.947 0.918
O3 0.205 0.191 0.704
O4 0.493 0.477 0.157
O5 0.512 0.681 0.970
O6 0.705 0.188 0.656
O7 0.806 0.737 0.737
O8 0.979 0.735 0.465
```

The value obtained for the energy of formation is -1.98 eV/atom.

***

Number 1: mass density 7.6 g cm⁻³. Number 2: mass density 4.3 g cm⁻³.